# 1
Here is an optimized crystal structure of BaYMgCu2O5 from the Materials Project database. Energies are from GGA-PBE.

Geometry as extended XYZ:
```
10
Lattice="-2.689 0.861 -3.449 3.068 -0.463 -3.214 -1.848 -7.973 0.082" Properties=species:S:1:pos:R:3 pbc="T T T"
Ba -0.074 -0.468 -0.762
Y -0.616 -3.719 -5.666
O -1.619 -7.590 -3.218
O -1.922 -1.819 -2.137
O -2.122 -4.139 -3.840
Cu -1.205 -5.863 -3.559
O 0.395 -4.722 -3.736
O 1.099 -2.513 -2.015
Mg -0.646 -3.278 -2.605
Cu -0.056 -1.064 -4.397
```

Values from the calculation:
- formation energy (eV per atom) = -2.230
- relative energy among the computed polymorphs (meV per atom) = 87
- electronic total energy (eV per atom) = -6.1788



# 2
Here is an optimized crystal structure of BaNbI5O16 from the Materials Project database. Energies are from GGA-PBE.

Geometry as extended XYZ:
```
46
Lattice="3.819 7.166 0.000 -3.819 7.166 0.000 0.000 6.054 14.023" Properties=species:S:1:pos:R:3 pbc="T T T"
O -1.235 7.985 6.978
I 0.943 16.526 12.474
O -1.047 12.807 13.953
Nb -0.215 11.780 12.778
I -1.330 12.508 9.405
O 2.947 9.963 9.391
I -0.943 13.499 5.463
O 0.498 15.611 13.983
I 1.546 9.158 10.251
O 1.047 9.779 6.941
O -2.947 6.936 2.379
O -1.585 9.577 9.338
I -1.546 6.131 3.239
O 2.967 7.170 0.006
I -2.611 9.912 3.958
O 1.542 9.223 4.252
O -0.498 12.584 6.971
O 1.043 11.276 2.394
O -0.843 7.722 3.898
O -0.130 15.076 5.768
I 2.611 12.939 10.970
O 0.130 18.103 12.780
O -0.486 7.372 11.429
O 1.585 6.549 2.326
O 1.816 13.309 9.370
O 1.029 13.190 12.016
O 0.696 5.365 9.111
I 1.330 9.481 2.393
O 0.843 10.749 10.910
O -0.696 2.338 2.099
O -2.967 10.197 7.018
O -1.114 9.917 13.009
I 2.623 5.755 1.070
O 1.114 6.890 5.998
O -1.450 15.791 11.803
O 1.450 12.764 4.792
O -1.816 10.282 2.358
O 0.486 4.345 4.418
I -2.623 8.782 8.082
O -1.043 14.303 9.406
O -1.029 10.163 5.004
Ba -2.726 8.950 0.066
O -1.542 12.250 11.264
Ba 2.726 11.977 7.078
O 1.235 11.012 13.990
Nb 0.215 8.753 5.767
```

Values from the calculation:
- formation energy (eV per atom) = -1.411
- electronic total energy (eV per atom) = -5.2293



# 3
Here is an optimized crystal structure of BaSr3Cu8B8O24 from the Materials Project database. Energies are from GGA-PBE.

Geometry as extended XYZ:
```
44
Lattice="-2.428 -6.556 -0.984 6.771 -3.274 5.105 -5.204 0.813 7.425" Properties=species:S:1:pos:R:3 pbc="T T T"
B 2.638 -3.629 5.579
O -5.746 -4.249 6.497
O 1.674 -3.789 8.804
Sr -2.602 0.407 3.712
Cu -2.508 -5.868 5.758
O -4.060 -4.989 4.916
Cu 0.058 -2.381 4.591
B -1.403 -5.715 2.975
B -2.231 -1.961 6.481
Sr -3.816 -2.871 3.220
Cu -0.361 -6.929 10.382
Cu 0.284 -6.824 5.236
B 2.525 -7.333 4.858
Sr 3.385 -1.637 2.552
Cu 4.732 -4.618 5.109
O 0.708 -4.115 11.006
O 1.428 -3.022 5.837
Cu 0.441 -2.960 7.506
O -0.547 -2.141 0.954
O 3.433 -4.212 6.560
O -0.482 -2.986 9.229
O -1.288 -1.858 3.248
O -1.287 -6.151 4.277
Cu -1.589 -5.025 0.723
O 0.912 -2.543 2.840
O -2.534 -5.080 2.473
B -4.580 -4.903 6.204
O 0.493 -7.120 8.595
O -3.792 -5.497 7.184
O 1.950 -7.396 6.124
O 1.639 -7.006 3.838
Cu -4.506 -1.461 6.877
B 0.644 -3.633 9.727
O -3.116 -1.622 5.463
O -0.895 -2.228 6.274
O 3.187 -3.702 4.306
O -0.399 -5.884 2.032
O -0.970 -6.632 6.703
O -2.819 -1.993 7.738
B -0.728 -6.727 8.056
Ba 2.171 -4.915 2.060
O 3.861 -7.528 4.634
B -0.313 -2.164 2.302
O -1.693 -6.453 9.016
```

Values from the calculation:
- formation energy (eV per atom) = -2.282
- electronic total energy (eV per atom) = -6.7249



# 4
Here is an optimized crystal structure of CuAg5As3O11 from the Materials Project database. Energies are from GGA-PBE.

Geometry as extended XYZ:
```
40
Lattice="-4.518 -3.328 -2.100 4.966 -7.413 2.024 -4.748 0.944 9.363" Properties=species:S:1:pos:R:3 pbc="T T T"
O -7.841 -3.734 7.050
As -2.796 -9.685 6.417
O -2.328 -5.738 0.190
Ag -0.002 -3.347 1.404
O 1.761 -7.619 4.592
As -1.917 -2.806 4.540
As -2.382 -6.991 4.747
Ag -0.810 -7.336 1.379
Ag -1.307 -5.195 7.183
Ag -1.062 -8.059 8.847
Cu -4.633 -1.192 3.631
O -1.042 -3.923 3.603
As -6.589 -3.736 8.282
O -3.520 -2.785 3.870
O -2.534 -6.819 3.062
O -2.694 -6.744 9.801
As 2.289 -6.061 1.004
O 3.541 -6.063 2.236
Ag -5.084 -4.413 5.130
Ag -3.238 -1.738 0.439
O 0.809 -5.567 1.741
O -3.127 -8.632 4.987
O -1.766 -2.978 6.224
O -1.606 -3.053 -0.514
O -0.780 -7.012 5.416
O -3.858 -0.447 6.001
Ag 0.784 -5.385 4.157
O -0.442 -9.350 3.286
O -0.596 -0.898 1.625
Cu 0.000 0.000 0.000
O -5.109 -4.230 7.545
O -6.061 -2.178 4.695
Ag -4.298 -6.451 7.882
Ag -3.490 -2.462 7.908
As -1.504 -0.113 2.869
O -3.258 -5.874 5.684
O -1.972 -4.059 9.097
O -1.173 -1.165 4.300
O -3.704 -8.899 7.661
Ag -2.993 -4.603 2.103
```

Values from the calculation:
- formation energy (eV per atom) = -1.119
- electronic total energy (eV per atom) = -5.0750



# 5
Here is an optimized crystal structure of PrCoP from the Materials Project database. Energies are from GGA-PBE.

Geometry as extended XYZ:
```
6
Lattice="3.895 0.000 0.000 0.000 3.895 0.000 0.000 0.000 7.688" Properties=species:S:1:pos:R:3 pbc="T T T"
Pr 0.000 1.947 2.316
Co 0.000 0.000 0.000
Co 1.947 1.947 0.000
P 1.947 0.000 1.197
Pr 1.947 0.000 5.372
P 0.000 1.947 6.491
```

Values from the calculation:
- formation energy (eV per atom) = -0.927
- electronic total energy (eV per atom) = -6.6944



# 6
Here is an optimized crystal structure of K2ZnH8N4 from the Materials Project database. Energies are from GGA-PBE.

Geometry as extended XYZ:
```
30
Lattice="-6.932 0.000 0.000 3.267 6.751 0.000 -0.824 -2.398 -7.725" Properties=species:S:1:pos:R:3 pbc="T T T"
H -3.546 -0.349 -4.176
Zn -1.830 -1.114 -5.910
H 1.327 3.712 -4.230
K -0.219 3.058 -1.077
N -1.802 4.223 -3.237
H -0.685 5.939 -0.396
H -1.671 0.606 -0.486
N 0.044 -0.297 -6.305
N -2.687 0.130 -4.488
Zn -2.659 5.467 -1.815
K -3.675 2.125 -2.414
N -2.967 -1.071 -7.641
H 1.983 5.192 -0.647
N -6.206 0.651 -2.542
N -1.523 5.424 -0.083
K -0.815 2.228 -5.311
H -5.816 0.641 -3.494
H 1.822 4.939 -2.219
K -4.271 1.296 -6.648
H -3.804 -1.585 -7.329
H -2.051 -0.036 -3.694
H -2.818 3.748 -7.238
H -0.283 0.550 -2.730
H -4.206 3.803 -4.995
H -6.472 -0.839 -7.077
H -0.944 4.702 -3.548
H -2.438 4.389 -4.030
H -6.312 -0.586 -5.506
N -4.534 4.650 -1.420
N 1.716 3.702 -5.183
```

Values from the calculation:
- formation energy (eV per atom) = -0.445
- relative energy among the computed polymorphs (meV per atom) = 0
- electronic total energy (eV per atom) = -4.6134



# 7
Here is an optimized crystal structure of Cr2Co from the Materials Project database. Energies are from GGA-PBE.

Geometry as extended XYZ:
```
6
Lattice="0.000 3.269 3.269 3.269 0.000 3.269 3.269 3.269 0.000" Properties=species:S:1:pos:R:3 pbc="T T T"
Co 0.000 0.000 0.000
Cr 2.452 2.452 4.086
Co 1.635 1.635 1.635
Cr 2.452 4.086 2.452
Cr 4.086 2.452 2.452
Cr 4.086 4.086 4.086
```

Values from the calculation:
- formation energy (eV per atom) = 0.288
- electronic total energy (eV per atom) = -8.5169



# 8
Here is an optimized crystal structure of Na4ZnSiSnP2O12 from the Materials Project database. Energies are from GGA-PBE.

Geometry as extended XYZ:
```
126
Lattice="-1.648 0.091 -8.965 -3.982 -6.282 5.303 -17.074 13.548 3.277" Properties=species:S:1:pos:R:3 pbc="T T T"
O -16.986 5.103 2.211
Na -5.200 -3.212 -1.960
O -2.490 0.146 -0.483
P -3.383 -0.903 -1.260
Sn -6.538 -4.215 5.762
Na -12.712 3.505 5.256
O -18.766 9.416 -0.084
P -12.902 5.925 -4.964
O -20.170 7.305 0.140
O -14.883 9.788 1.740
O -10.489 -0.695 1.303
Na -11.019 1.417 -1.349
O -12.043 4.760 3.240
Na -14.517 4.786 2.650
O -2.360 -1.428 -2.348
Na -7.984 2.450 -3.126
O -8.898 4.790 -3.566
P -8.271 -0.946 -1.725
P -14.505 8.353 1.415
O -6.339 -3.870 -4.084
O -11.561 5.382 -4.322
O -8.687 1.850 0.458
P -19.364 8.357 0.925
O -10.334 6.231 -1.456
Sn -16.712 2.649 -1.503
O -13.860 2.485 3.426
O -4.622 -0.290 -1.904
P -5.493 1.553 2.362
Na -6.281 1.172 -0.647
Na -5.349 3.346 -4.795
Si -13.610 4.056 -0.732
O -3.930 1.234 -4.643
Na -5.638 -4.866 2.625
O -11.079 2.142 3.883
Na -14.039 0.532 -1.992
O -2.230 -0.519 -5.446
O -6.891 1.396 -5.106
Sn -8.655 0.100 1.604
O -15.286 7.288 2.288
O -14.096 5.580 -0.899
O -3.854 -1.994 -0.290
O -18.806 6.067 4.137
O -12.999 8.044 1.804
O -15.190 4.250 6.229
O -8.125 4.388 0.760
O -6.537 0.502 1.803
Si -14.010 10.257 -3.829
P -10.759 7.730 -1.168
P -9.185 3.353 0.352
O -13.346 3.840 0.859
Na -17.277 10.599 1.658
O -4.225 1.258 1.457
Na -13.467 10.097 -0.878
Na -16.526 9.224 -1.518
O -18.595 10.276 -2.770
Zn -3.457 -3.982 0.705
O -14.805 8.135 -0.077
O -12.202 7.993 -1.566
Zn -5.942 4.711 1.138
Zn -12.033 2.794 2.131
O -7.421 0.073 -2.503
Na -14.757 1.940 1.095
O -4.228 -2.966 2.380
P -17.235 10.100 4.642
Zn -14.049 7.216 -1.988
O -10.513 7.809 0.394
O -20.591 7.922 5.037
O -3.049 1.095 -7.079
Na -8.291 -0.561 -4.745
O -8.829 0.975 3.477
O -5.801 4.034 -0.718
O -16.812 8.601 4.336
Sn -17.197 6.874 3.219
Na -15.821 8.002 -4.465
O -7.947 -0.803 -0.185
O -7.604 3.083 -6.744
O -20.265 8.952 1.992
O -15.337 10.863 -4.513
P -9.860 1.530 4.548
Na -16.818 12.219 -3.182
O -16.231 6.862 -2.347
P -2.723 0.984 -5.534
O -7.366 -3.417 4.127
O -13.829 6.521 -3.910
O -9.728 -0.702 -2.077
O -14.672 2.893 -1.332
Sn -19.229 11.298 -0.986
O -5.626 -4.272 0.138
O -9.469 3.470 -1.200
O -12.340 6.992 -5.987
O -12.299 3.721 -1.730
Na -5.956 -1.989 1.142
Si -4.807 3.446 -1.841
O -5.658 2.342 -2.688
Sn -10.692 4.524 -2.622
O -18.022 7.785 1.549
Si -20.094 6.398 5.157
O -17.215 11.551 -0.736
Na -19.999 8.215 -2.120
Na -20.948 7.216 8.503
Zn -16.127 11.576 -6.184
O -7.860 -2.457 -1.974
O -14.509 9.133 -2.757
O -10.587 2.662 -3.666
O -15.901 5.939 4.622
O -16.385 11.147 3.904
O -10.403 3.596 1.224
Si -12.054 -0.348 0.815
Na -2.868 -1.082 1.769
Na -7.653 5.410 -1.409
O -16.901 3.412 0.334
Na -11.850 5.716 0.984
O -12.470 1.171 1.133
O -10.338 0.459 5.547
O -8.106 -1.689 2.437
Si -5.556 -2.691 -4.999
Na -9.809 3.885 -5.800
O -18.541 6.087 -1.941
O -5.946 -1.173 -4.640
O -3.977 -3.041 -4.540
P -15.658 5.764 6.173
Na -16.248 6.180 0.044
O -18.682 10.356 4.265
Zn -5.508 0.442 -3.607
O -12.337 -0.571 -0.773
O -19.795 6.143 6.736
```

Values from the calculation:
- formation energy (eV per atom) = -2.493
- electronic total energy (eV per atom) = -6.2042